# Sn2H10C4N2O9F2, relaxed, DFT GGA-PBE
# ΔH_f (0 K) (eV per formula unit): -37.84
data_Sn2H10C4N2O9F2
_chemical_formula_sum 'Sn8 H40 C16 N8 O36 F8'
_cell_length_a 9.871
_cell_length_b 10.224
_cell_length_c 12.672
_cell_angle_alpha 85.59
_cell_angle_beta 90.00
_cell_angle_gamma 90.00
_symmetry_space_group_name_H-M 'P 1'
_symmetry_Int_Tables_number 1
loop_
_symmetry_equiv_pos_as_xyz
'x,y,z'
loop_
_atom_site_label
_atom_site_fract_x
_atom_site_fract_y
_atom_site_fract_z
Sn1 0.645 0.511 0.610
Sn2 0.145 0.489 0.890
Sn3 0.355 0.489 0.390
Sn4 0.855 0.511 0.110
Sn5 0.815 0.128 0.994
Sn6 0.315 0.872 0.506
Sn7 0.185 0.872 0.006
Sn8 0.685 0.128 0.494
H1 0.961 0.875 0.714
H2 0.461 0.125 0.786
H3 0.039 0.125 0.286
H4 0.539 0.875 0.214
H5 0.897 0.027 0.728
H6 0.397 0.973 0.772
H7 0.103 0.973 0.272
H8 0.603 0.027 0.228
H9 0.913 0.645 0.705
H10 0.413 0.355 0.795
H11 0.087 0.355 0.295
H12 0.587 0.645 0.205
H13 0.066 0.003 0.736
H14 0.566 0.997 0.764
H15 0.934 0.997 0.264
H16 0.434 0.003 0.236
H17 0.890 0.696 0.819
H18 0.390 0.304 0.681
H19 0.110 0.304 0.181
H20 0.610 0.696 0.319
H21 0.965 0.404 0.608
H22 0.465 0.596 0.892
H23 0.035 0.596 0.392
H24 0.535 0.404 0.108
H25 0.101 0.370 0.535
H26 0.601 0.630 0.965
H27 0.899 0.630 0.465
H28 0.399 0.370 0.035
H29 0.977 0.256 0.557
H30 0.477 0.744 0.943
H31 0.023 0.744 0.443
H32 0.523 0.256 0.057
H33 0.082 0.296 0.657
H34 0.582 0.704 0.843
H35 0.918 0.704 0.343
H36 0.418 0.296 0.157
H37 0.983 0.000 0.618
H38 0.483 0.000 0.882
H39 0.017 0.000 0.382
H40 0.517 0.000 0.118
C1 0.682 0.813 0.496
C2 0.182 0.187 0.004
C3 0.318 0.187 0.504
C4 0.818 0.813 0.996
C5 0.754 0.265 0.765
C6 0.254 0.735 0.735
C7 0.246 0.735 0.235
C8 0.746 0.265 0.265
C9 0.660 0.827 0.617
C10 0.160 0.173 0.883
C11 0.340 0.173 0.383
C12 0.840 0.827 0.117
C13 0.724 0.379 0.835
C14 0.224 0.621 0.665
C15 0.276 0.621 0.165
C16 0.776 0.379 0.335
N1 0.031 0.330 0.590
N2 0.531 0.670 0.910
N3 0.969 0.670 0.410
N4 0.469 0.330 0.090
N5 0.978 0.976 0.698
N6 0.478 0.024 0.802
N7 0.022 0.024 0.302
N8 0.522 0.976 0.198
O1 0.781 0.152 0.812
O2 0.281 0.848 0.688
O3 0.219 0.848 0.188
O4 0.719 0.152 0.312
O5 0.707 0.917 0.437
O6 0.207 0.083 0.063
O7 0.293 0.083 0.563
O8 0.793 0.917 0.937
O9 0.627 0.724 0.675
O10 0.127 0.276 0.825
O11 0.373 0.276 0.325
O12 0.873 0.724 0.175
O13 0.691 0.490 0.789
O14 0.191 0.510 0.711
O15 0.309 0.510 0.211
O16 0.809 0.490 0.289
O17 0.754 0.290 0.666
O18 0.254 0.710 0.834
O19 0.246 0.710 0.334
O20 0.746 0.290 0.166
O21 0.735 0.357 0.934
O22 0.235 0.643 0.566
O23 0.265 0.643 0.066
O24 0.765 0.357 0.434
O25 0.673 0.699 0.463
O26 0.173 0.301 0.037
O27 0.327 0.301 0.537
O28 0.827 0.699 0.963
O29 0.675 0.939 0.650
O30 0.175 0.061 0.850
O31 0.325 0.061 0.350
O32 0.825 0.939 0.150
O33 0.948 0.706 0.755
O34 0.448 0.294 0.745
O35 0.052 0.294 0.245
O36 0.552 0.706 0.255
F1 0.857 0.552 0.602
F2 0.357 0.448 0.898
F3 0.143 0.448 0.398
F4 0.643 0.552 0.102
F5 0.604 0.113 0.009
F6 0.104 0.887 0.491
F7 0.396 0.887 0.991
F8 0.896 0.113 0.509